{
  "formula": "Na2Mg5Si12O30",
  "functional": "GGA-PBE",
  "state": "optimized geometry",
  "ef_ev_per_atom": -3.183,
  "sg": "P-62c, No. 190",
  "energy_mp2020_ev_per_atom": -7.7581,
  "lattice": [[-7.550, 6.294, 2.990], [8.255, 3.796, -4.797], [-6.554, -1.821, -12.718]],
  "species": ["Na", "O", "O", "Si", "Mg", "O", "O", "O", "O", "O", "O", "Mg", "O", "Si", "Si", "O", "O", "Si", "O", "O", "Si", "Si", "O", "O", "Mg", "O", "Si", "O", "O", "Mg", "Si", "Si", "Si", "O", "Mg", "Si", "O", "O", "Si", "Si", "Si", "Na", "O", "O", "O", "Mg", "O", "O", "O", "Si", "Mg", "O", "O", "O", "O", "O", "O", "O", "O", "O", "O", "O", "O", "O", "Na", "O", "O", "Mg", "O", "O", "O", "O", "Mg", "Si", "O", "O", "O", "Si", "O", "O", "Mg", "Na", "O", "Si", "O", "Si", "O", "Si", "Si", "O", "O", "Si", "Si", "O", "Si", "O", "O", "O"],
  "frac_coords": [[0.000, 0.000, 0.250], [0.496, 0.341, 0.673], [0.609, 0.870, 0.000], [0.763, 0.115, 0.390], [0.667, 0.333, 0.254], [0.739, 0.603, 0.000], [0.391, 0.261, 0.500], [0.218, 0.943, 0.865], [0.057, 0.275, 0.135], [0.057, 0.275, 0.865], [0.943, 0.218, 0.635], [0.333, 0.667, 0.754], [0.603, 0.739, 0.500], [0.885, 0.236, 0.889], [0.650, 0.764, 0.611], [0.725, 0.782, 0.135], [0.870, 0.609, 0.500], [0.237, 0.353, 0.110], [0.845, 0.504, 0.673], [0.783, 0.057, 0.865], [0.764, 0.650, 0.111], [0.650, 0.764, 0.389], [0.659, 0.155, 0.673], [0.057, 0.783, 0.365], [0.500, 0.500, 0.750], [0.155, 0.659, 0.173], [0.115, 0.350, 0.611], [0.726, 0.943, 0.365], [0.155, 0.659, 0.827], [0.333, 0.667, 0.246], [0.353, 0.237, 0.390], [0.885, 0.236, 0.111], [0.237, 0.353, 0.890], [0.057, 0.783, 0.635], [0.667, 0.333, 0.746], [0.115, 0.763, 0.890], [0.504, 0.845, 0.173], [0.261, 0.864, 0.500], [0.353, 0.237, 0.610], [0.350, 0.115, 0.111], [0.350, 0.115, 0.889], [0.667, 0.333, 0.000], [0.157, 0.499, 0.670], [0.218, 0.943, 0.135], [0.136, 0.397, 0.500], [0.500, 0.000, 0.750], [0.496, 0.341, 0.327], [0.275, 0.057, 0.365], [0.217, 0.274, 0.365], [0.115, 0.763, 0.110], [0.500, 0.500, 0.250], [0.782, 0.725, 0.635], [0.726, 0.943, 0.635], [0.501, 0.658, 0.670], [0.783, 0.057, 0.135], [0.501, 0.658, 0.330], [0.157, 0.499, 0.330], [0.130, 0.739, 0.000], [0.275, 0.057, 0.635], [0.943, 0.218, 0.365], [0.658, 0.501, 0.170], [0.217, 0.274, 0.635], [0.341, 0.496, 0.827], [0.943, 0.726, 0.135], [0.000, 0.000, 0.750], [0.342, 0.843, 0.330], [0.659, 0.155, 0.327], [0.500, 0.000, 0.250], [0.943, 0.726, 0.865], [0.845, 0.504, 0.327], [0.499, 0.157, 0.170], [0.725, 0.782, 0.865], [0.000, 0.500, 0.250], [0.764, 0.650, 0.889], [0.499, 0.157, 0.830], [0.342, 0.843, 0.670], [0.274, 0.217, 0.865], [0.647, 0.885, 0.890], [0.341, 0.496, 0.173], [0.397, 0.136, 0.000], [0.000, 0.500, 0.750], [0.333, 0.667, 0.500], [0.843, 0.342, 0.170], [0.115, 0.350, 0.389], [0.739, 0.130, 0.500], [0.647, 0.885, 0.110], [0.864, 0.261, 0.000], [0.763, 0.115, 0.610], [0.885, 0.647, 0.610], [0.504, 0.845, 0.827], [0.274, 0.217, 0.135], [0.236, 0.885, 0.389], [0.236, 0.885, 0.611], [0.843, 0.342, 0.830], [0.885, 0.647, 0.390], [0.658, 0.501, 0.830], [0.782, 0.725, 0.365], [0.261, 0.391, 0.000]]
}